Record 1
CaB3O12 | GGA-PBE | optimized geometry

Calculated formation energy (eV per formula unit): -21.4

Structure (CIF):
```
data_CaB3O12
_chemical_formula_sum 'Ca4 B12 O48'
_space_group_name_H-M_alt 'P 1'
_space_group_IT_number 1
_cell_length_a 8.590
_cell_length_b 12.824
_cell_length_c 11.139
_cell_angle_alpha 90.00
_cell_angle_beta 121.21
_cell_angle_gamma 90.00
loop_
_space_group_symop_operation_xyz
'x,y,z'
loop_
_atom_site_label
_atom_site_fract_x
_atom_site_fract_y
_atom_site_fract_z
Ca1 0.141 0.143 0.030
Ca2 0.141 0.357 0.530
Ca3 0.859 0.643 0.470
Ca4 0.859 0.857 0.970
B1 0.009 0.072 0.724
B2 0.009 0.428 0.224
B3 0.206 0.605 0.437
B4 0.206 0.895 0.937
B5 0.215 0.566 0.218
B6 0.215 0.934 0.718
B7 0.785 0.066 0.282
B8 0.785 0.434 0.782
B9 0.794 0.105 0.063
B10 0.794 0.395 0.563
B11 0.991 0.572 0.776
B12 0.991 0.928 0.276
O1 0.048 0.152 0.805
O2 0.048 0.348 0.305
O3 0.102 0.021 0.671
O4 0.102 0.479 0.171
O5 0.124 0.674 0.478
O6 0.124 0.826 0.978
O7 0.175 0.515 0.831
O8 0.175 0.985 0.331
O9 0.178 0.029 0.224
O10 0.178 0.471 0.724
O11 0.243 0.626 0.331
O12 0.243 0.874 0.831
O13 0.247 0.513 0.507
O14 0.247 0.987 0.007
O15 0.300 0.594 0.150
O16 0.300 0.906 0.650
O17 0.342 0.165 0.578
O18 0.342 0.335 0.078
O19 0.388 0.217 0.324
O20 0.388 0.283 0.824
O21 0.422 0.203 0.894
O22 0.422 0.297 0.394
O23 0.497 0.640 0.847
O24 0.497 0.860 0.347
O25 0.503 0.140 0.653
O26 0.503 0.360 0.153
O27 0.578 0.703 0.606
O28 0.578 0.797 0.106
O29 0.612 0.717 0.176
O30 0.612 0.783 0.676
O31 0.658 0.665 0.922
O32 0.658 0.835 0.422
O33 0.700 0.094 0.350
O34 0.700 0.406 0.850
O35 0.753 0.013 0.993
O36 0.753 0.487 0.493
O37 0.757 0.126 0.169
O38 0.757 0.374 0.669
O39 0.822 0.529 0.276
O40 0.822 0.971 0.776
O41 0.825 0.015 0.669
O42 0.825 0.485 0.169
O43 0.876 0.174 0.022
O44 0.876 0.326 0.522
O45 0.898 0.521 0.829
O46 0.898 0.979 0.329
O47 0.952 0.652 0.695
O48 0.952 0.848 0.195
```

Record 2
NdGe2Ir2 | GGA-PBE | optimized geometry

Calculated formation energy (eV per formula unit): -3.9

Structure (CIF):
```
data_NdGe2Ir2
_chemical_formula_sum 'Nd2 Ge4 Ir4'
_space_group_name_H-M_alt 'P 1'
_space_group_IT_number 1
_cell_length_a 4.280
_cell_length_b 4.280
_cell_length_c 10.209
_cell_angle_alpha 90.00
_cell_angle_beta 90.00
_cell_angle_gamma 90.00
loop_
_space_group_symop_operation_xyz
'x,y,z'
loop_
_atom_site_label
_atom_site_fract_x
_atom_site_fract_y
_atom_site_fract_z
Nd1 0.250 0.250 0.243
Nd2 0.750 0.750 0.757
Ge1 0.250 0.250 0.631
Ge2 0.250 0.750 0.000
Ge3 0.750 0.250 0.000
Ge4 0.750 0.750 0.369
Ir1 0.250 0.250 0.873
Ir2 0.250 0.750 0.500
Ir3 0.750 0.250 0.500
Ir4 0.750 0.750 0.127
```

Record 3
MgSb2 | GGA-PBE | optimized geometry

Calculated formation energy (eV per formula unit): -0.3

Structure (CIF):
```
data_MgSb2
_chemical_formula_sum 'Mg4 Sb8'
_space_group_name_H-M_alt 'P 1'
_space_group_IT_number 1
_cell_length_a 5.432
_cell_length_b 3.304
_cell_length_c 17.201
_cell_angle_alpha 90.00
_cell_angle_beta 90.00
_cell_angle_gamma 90.00
loop_
_space_group_symop_operation_xyz
'x,y,z'
loop_
_atom_site_label
_atom_site_fract_x
_atom_site_fract_y
_atom_site_fract_z
Mg1 0.000 0.000 0.000
Mg2 0.000 0.000 0.327
Mg3 0.000 0.500 0.500
Mg4 0.000 0.500 0.827
Sb1 0.000 0.000 0.657
Sb2 0.000 0.500 0.157
Sb3 0.500 0.000 0.107
Sb4 0.500 0.000 0.449
Sb5 0.500 0.000 0.781
Sb6 0.500 0.500 0.281
Sb7 0.500 0.500 0.607
Sb8 0.500 0.500 0.949
```

Record 4
LiScHg2 | GGA-PBE | optimized geometry

Calculated formation energy (eV per formula unit): -1.6

Structure (CIF):
```
data_LiScHg2
_chemical_formula_sum 'Li4 Sc4 Hg8'
_space_group_name_H-M_alt 'P 1'
_space_group_IT_number 1
_cell_length_a 6.849
_cell_length_b 6.849
_cell_length_c 6.849
_cell_angle_alpha 90.00
_cell_angle_beta 90.00
_cell_angle_gamma 90.00
loop_
_space_group_symop_operation_xyz
'x,y,z'
loop_
_atom_site_label
_atom_site_fract_x
_atom_site_fract_y
_atom_site_fract_z
Li1 0.000 0.000 0.000
Li2 0.000 0.500 0.500
Li3 0.500 0.000 0.500
Li4 0.500 0.500 0.000
Sc1 0.000 0.000 0.500
Sc2 0.000 0.500 0.000
Sc3 0.500 0.000 0.000
Sc4 0.500 0.500 0.500
Hg1 0.250 0.250 0.250
Hg2 0.250 0.250 0.750
Hg3 0.250 0.750 0.250
Hg4 0.250 0.750 0.750
Hg5 0.750 0.250 0.250
Hg6 0.750 0.250 0.750
Hg7 0.750 0.750 0.250
Hg8 0.750 0.750 0.750
```

Record 5
AlB2Pb | GGA-PBE | optimized geometry

Calculated formation energy (eV per formula unit): 7.1

Structure (CIF):
```
data_AlB2Pb
_chemical_formula_sum 'Al4 B8 Pb4'
_space_group_name_H-M_alt 'P 1'
_space_group_IT_number 1
_cell_length_a 6.395
_cell_length_b 6.395
_cell_length_c 6.395
_cell_angle_alpha 90.00
_cell_angle_beta 90.00
_cell_angle_gamma 90.00
loop_
_space_group_symop_operation_xyz
'x,y,z'
loop_
_atom_site_label
_atom_site_fract_x
_atom_site_fract_y
_atom_site_fract_z
Al1 0.000 0.000 0.000
Al2 0.000 0.500 0.500
Al3 0.500 0.000 0.500
Al4 0.500 0.500 0.000
B1 0.000 0.000 0.500
B2 0.000 0.500 0.000
B3 0.250 0.250 0.250
B4 0.250 0.750 0.750
B5 0.500 0.000 0.000
B6 0.500 0.500 0.500
B7 0.750 0.250 0.750
B8 0.750 0.750 0.250
Pb1 0.250 0.250 0.750
Pb2 0.250 0.750 0.250
Pb3 0.750 0.250 0.250
Pb4 0.750 0.750 0.750
```

Record 6
Ga2O3 | GGA-PBE | optimized geometry

Calculated formation energy (eV per formula unit): -11.2

Structure (CIF):
```
data_Ga2O3
_chemical_formula_sum 'Ga4 O6'
_space_group_name_H-M_alt 'P 1'
_space_group_IT_number 1
_cell_length_a 5.400
_cell_length_b 5.400
_cell_length_c 5.400
_cell_angle_alpha 55.87
_cell_angle_beta 55.87
_cell_angle_gamma 55.87
loop_
_space_group_symop_operation_xyz
'x,y,z'
loop_
_atom_site_label
_atom_site_fract_x
_atom_site_fract_y
_atom_site_fract_z
Ga1 0.144 0.144 0.144
Ga2 0.356 0.356 0.356
Ga3 0.644 0.644 0.644
Ga4 0.856 0.856 0.856
O1 0.053 0.750 0.447
O2 0.250 0.553 0.947
O3 0.447 0.053 0.750
O4 0.553 0.947 0.250
O5 0.750 0.447 0.053
O6 0.947 0.250 0.553
```

Record 7
Mg6TiCo | GGA-PBE | optimized geometry

Calculated formation energy (eV per formula unit): 1.1

Structure (CIF):
```
data_Mg6TiCo
_chemical_formula_sum 'Mg12 Ti2 Co2'
_space_group_name_H-M_alt 'P 1'
_space_group_IT_number 1
_cell_length_a 4.717
_cell_length_b 6.037
_cell_length_c 11.000
_cell_angle_alpha 90.00
_cell_angle_beta 90.00
_cell_angle_gamma 90.00
loop_
_space_group_symop_operation_xyz
'x,y,z'
loop_
_atom_site_label
_atom_site_fract_x
_atom_site_fract_y
_atom_site_fract_z
Mg1 0.000 0.240 0.584
Mg2 0.000 0.760 0.584
Mg3 0.000 0.500 0.829
Mg4 0.500 0.760 0.922
Mg5 0.500 0.240 0.922
Mg6 0.500 0.500 0.667
Mg7 0.000 0.740 0.084
Mg8 0.000 0.260 0.084
Mg9 0.000 0.000 0.329
Mg10 0.500 0.260 0.422
Mg11 0.500 0.740 0.422
Mg12 0.500 0.000 0.167
Ti1 0.500 0.000 0.693
Ti2 0.500 0.500 0.193
Co1 0.000 0.000 0.800
Co2 0.000 0.500 0.300
```

Record 8
TlCu2Te2 | GGA-PBE | optimized geometry

Calculated formation energy (eV per formula unit): -1.6

Structure (CIF):
```
data_TlCu2Te2
_chemical_formula_sum 'Tl2 Cu4 Te4'
_space_group_name_H-M_alt 'P 1'
_space_group_IT_number 1
_cell_length_a 4.010
_cell_length_b 4.010
_cell_length_c 15.583
_cell_angle_alpha 90.00
_cell_angle_beta 90.00
_cell_angle_gamma 90.00
loop_
_space_group_symop_operation_xyz
'x,y,z'
loop_
_atom_site_label
_atom_site_fract_x
_atom_site_fract_y
_atom_site_fract_z
Tl1 0.000 0.000 0.000
Tl2 0.500 0.500 0.500
Cu1 0.000 0.500 0.250
Cu2 0.000 0.500 0.750
Cu3 0.500 0.000 0.250
Cu4 0.500 0.000 0.750
Te1 0.000 0.000 0.360
Te2 0.000 0.000 0.640
Te3 0.500 0.500 0.140
Te4 0.500 0.500 0.860
```

| no. | calculated total energy (eV per formula unit) |
| --- | --- |
| 1 | -100.90 |
| 2 | -35.60 |
| 3 | -9.74 |
| 4 | -10.45 |
| 5 | -13.72 |
| 6 | -30.04 |
| 7 | -23.46 |
| 8 | -17.64 |